Material: Ce2SiS5
Method: DFT, PBE-GGA
State: relaxed

Theoretical density (Mg/m³): 4.29

a = 7.5251 Å, b = 12.5627 Å, c = 7.8395 Å
α = 90.00°, β = 101.45°, γ = 90.00°
Last column: nearest neighbours and their distance in Å.
Fractional positions:
1 Ce 0.1620 0.1678 0.1368  8 S 2.88-3.18
2 Ce 0.1620 0.3322 0.6368  8 S 2.88-3.18
3 Ce 0.2371 0.5948 0.0442  8 S 2.79-3.09
4 Ce 0.2371 0.9052 0.5442  8 S 2.79-3.09
5 Ce 0.7629 0.0948 0.4558  8 S 2.79-3.09
6 Ce 0.7629 0.4052 0.9558  8 S 2.79-3.09
7 Ce 0.8380 0.6678 0.3632  8 S 2.88-3.18
8 Ce 0.8380 0.8322 0.8632  8 S 2.88-3.18
9 Si 0.3299 0.6175 0.5956  4 S 2.12-2.16
10 Si 0.3299 0.8825 0.0956  4 S 2.12-2.16
11 Si 0.6701 0.1175 0.9044  4 S 2.12-2.16
12 Si 0.6701 0.3825 0.4044  4 S 2.12-2.16
13 S 0.1244 0.7044 0.6951  1 Si 2.16
14 S 0.1244 0.7956 0.1951  1 Si 2.16
15 S 0.1383 0.1188 0.5005  4 Ce 2.79-2.96
16 S 0.1383 0.3812 0.0005  4 Ce 2.79-2.96
17 S 0.1740 0.5294 0.3856  1 Si 2.13
18 S 0.1740 0.9706 0.8856  1 Si 2.13
19 S 0.4196 0.0024 0.2831  1 Si 2.12
20 S 0.4196 0.4976 0.7831  1 Si 2.12
21 S 0.4733 0.2294 0.9484  1 Si 2.12
22 S 0.4733 0.2706 0.4484  1 Si 2.12
23 S 0.5267 0.7294 0.5516  1 Si 2.12
24 S 0.5267 0.7706 0.0516  1 Si 2.12
25 S 0.5804 0.5024 0.2169  1 Si 2.12
26 S 0.5804 0.9976 0.7169  1 Si 2.12
27 S 0.8260 0.0294 0.1144  1 Si 2.13
28 S 0.8260 0.4706 0.6144  1 Si 2.13
29 S 0.8617 0.6188 0.9995  4 Ce 2.79-2.96
30 S 0.8617 0.8812 0.4995  4 Ce 2.79-2.96
31 S 0.8756 0.2044 0.8049  1 Si 2.16
32 S 0.8756 0.2956 0.3049  1 Si 2.16


Material: Ce2SiS5
Method: DFT, PBE-GGA
State: relaxed

Theoretical density (Mg/m³): 4.24

a = 8.5604 Å, b = 7.6226 Å, c = 11.2599 Å
α = 90.00°, β = 91.88°, γ = 90.00°
Last column: nearest neighbours and their distance in Å.
Fractional positions:
1 Ce 0.0138 0.0474 0.3198  7 S 2.71-2.98
2 Ce 0.0138 0.4526 0.8198  7 S 2.71-2.98
3 Ce 0.2502 0.5932 0.4974  7 S 2.70-2.90
4 Ce 0.2502 0.9068 0.9974  7 S 2.70-2.90
5 Ce 0.7498 0.0932 0.0026  7 S 2.70-2.90
6 Ce 0.7498 0.4068 0.5026  7 S 2.70-2.90
7 Ce 0.9862 0.5474 0.1802  7 S 2.71-2.98
8 Ce 0.9862 0.9526 0.6802  7 S 2.71-2.98
9 Si 0.4004 0.0833 0.6625  3 S 2.20-2.28
10 Si 0.4004 0.4167 0.1625  3 S 2.20-2.28
11 Si 0.5996 0.5833 0.8375  3 S 2.20-2.28
12 Si 0.5996 0.9167 0.3375  3 S 2.20-2.28
13 S 0.0437 0.1721 0.0804  3 Ce 2.70-2.88
14 S 0.0437 0.3279 0.5804  3 Ce 2.70-2.88
15 S 0.2137 0.6906 0.7310  3 Ce 2.71-2.83
16 S 0.2137 0.8094 0.2310  3 Ce 2.71-2.83
17 S 0.2276 0.1450 0.8040  1 Si 2.26
18 S 0.2276 0.3550 0.3040  1 Si 2.26
19 S 0.2368 0.5282 0.0179  1 Si 2.28
20 S 0.2368 0.9718 0.5179  1 Si 2.28
21 S 0.4578 0.1544 0.0946  1 Si 2.20
22 S 0.4578 0.3456 0.5946  1 Si 2.20
23 S 0.5422 0.6544 0.4054  1 Si 2.20
24 S 0.5422 0.8456 0.9054  1 Si 2.20
25 S 0.7632 0.0282 0.4821  1 Si 2.28
26 S 0.7632 0.4718 0.9821  1 Si 2.28
27 S 0.7724 0.6450 0.6960  1 Si 2.26
28 S 0.7724 0.8550 0.1960  1 Si 2.26
29 S 0.7863 0.1906 0.7690  3 Ce 2.71-2.83
30 S 0.7863 0.3094 0.2690  3 Ce 2.71-2.83
31 S 0.9563 0.6721 0.4196  3 Ce 2.70-2.88
32 S 0.9563 0.8279 0.9196  3 Ce 2.70-2.88


Material: Ce3SiS2
Method: DFT, PBE-GGA
State: relaxed

Theoretical density (Mg/m³): 5.83

a = 7.0971 Å, b = 7.0971 Å, c = 7.0971 Å
α = 146.37°, β = 131.90°, γ = 59.97°
Last column: nearest neighbours and their distance in Å.
Fractional positions:
1 Ce 0.0000 0.0000 0.0000  4 S 2.89, 2 Si 2.89
2 Ce 0.3294 0.3294 0.0000  4 S 2.88-2.89, 2 Si 2.94
3 Ce 0.6706 0.6706 0.0000  4 S 2.88-2.89, 2 Si 2.94
4 Si 0.5000 0.0000 0.5000  6 Ce 2.89-2.94
5 S 0.1655 0.6655 0.5000  6 Ce 2.88-2.89
6 S 0.8345 0.3345 0.5000  6 Ce 2.88-2.89


Number 1: raw total energy -6.255 eV per atom, energy of formation from the pure elements -1822 meV/atom. Number 2: raw total energy -6.079 eV per atom, energy of formation from the pure elements -1647 meV/atom. Number 3: raw total energy -6.815 eV per atom, energy of formation from the pure elements -1733 meV/atom.